A relaxed SiPbN2 crystal. Source: the Materials Project database, functional GGA-PBE.

Values from the calculation:
SG: No. 33
Polymorph energy (0 for the lowest one) (eV per atom): 0.0000

abc: 5.6765 7.5623 5.1648
angles: 90.00 90.00 90.00
Closest atoms and distances in Å follow each position.
Sites, in units of the cell vectors:
Pb 0.5780 0.8737 0.0177  3 N 2.39-2.57
Pb 0.9220 0.3737 0.5177  3 N 2.39-2.57
Pb 0.4220 0.1263 0.5177  3 N 2.39-2.57
Pb 0.0780 0.6263 0.0177  3 N 2.39-2.57
Si 0.4852 0.6268 0.5028  4 N 1.75-1.78
Si 0.5148 0.3732 0.0028  4 N 1.75-1.78
Si 0.9852 0.8732 0.5028  4 N 1.75-1.78
Si 0.0148 0.1268 0.0028  4 N 1.75-1.78
N 0.2303 0.7423 0.4140  2 Si 1.75-1.77
N 0.9944 0.9220 0.8356  2 Si 1.76-1.78
N 0.4944 0.5780 0.8356  2 Si 1.76-1.78
N 0.7697 0.2577 0.9140  2 Si 1.75-1.77
N 0.5056 0.4220 0.3356  2 Si 1.76-1.78
N 0.2697 0.2423 0.9140  2 Si 1.75-1.77
N 0.0056 0.0780 0.3356  2 Si 1.76-1.78
N 0.7303 0.7577 0.4140  2 Si 1.75-1.77